DFT (PBE) results for a relaxed H6W crystal.

Values from the calculation:
Its raw total energy is -4.541 eV per atom. Its formation energy is 218 meV per atom. Its mass density is 6.105 g/cm³. The calculation puts the total moment at 0.001 μB/f.u.

```
data_H6W
_chemical_formula_sum 'H12 W2'
_space_group_name_H-M_alt 'P 1'
_space_group_IT_number 1
_space_group_name_Hall 'P 1'
_cell_length_a 6.007
_cell_length_b 6.007
_cell_length_c 7.082
_cell_angle_alpha 57.50
_cell_angle_beta 57.50
_cell_angle_gamma 29.08
loop_
_atom_site_label
_atom_site_type_symbol
_atom_site_fract_x
_atom_site_fract_y
_atom_site_fract_z
H1 H 0.463 0.463 0.017
H2 H 0.537 0.537 0.983
H3 H 0.446 0.446 0.665
H4 H 0.554 0.554 0.335
H5 H 0.809 0.809 0.701
H6 H 0.191 0.191 0.299
H7 H 0.039 0.039 0.632
H8 H 0.961 0.961 0.368
H9 H 0.257 0.257 0.806
H10 H 0.743 0.743 0.194
H11 H 0.833 0.833 0.344
H12 H 0.167 0.167 0.656
W1 W 0.647 0.647 0.479
W2 W 0.353 0.353 0.521
```